Sc3Ni11Ge4 (PBE, relaxed); energy of formation from the pure elements = -0.512 eV/atom; spin magnetization = 0.1 μB/f.u.; crystal system = hexagonal
1.0
8.216 0.000 0.000
-4.108 7.115 0.000
0.000 0.000 8.431
Sc Ni Ge
6 22 8
direct
0.186 0.371 0.250
0.186 0.814 0.250
0.371 0.186 0.750
0.629 0.814 0.250
0.814 0.186 0.750
0.814 0.629 0.750
0.132 0.566 0.750
0.161 0.322 0.590
0.161 0.322 0.910
0.161 0.839 0.590
0.161 0.839 0.910
0.322 0.161 0.090
0.322 0.161 0.410
0.333 0.667 0.012
0.333 0.667 0.488
0.434 0.566 0.750
0.434 0.868 0.750
0.566 0.132 0.250
0.566 0.434 0.250
0.667 0.333 0.512
0.667 0.333 0.988
0.678 0.839 0.590
0.678 0.839 0.910
0.839 0.161 0.090
0.839 0.161 0.410
0.839 0.678 0.090
0.839 0.678 0.410
0.868 0.434 0.250
0.000 0.000 0.000
0.000 0.000 0.500
0.000 0.500 0.000
0.000 0.500 0.500
0.500 0.000 0.000
0.500 0.000 0.500
0.500 0.500 0.000
0.500 0.500 0.500